1.
This record from the Materials Project database describes a relaxed structure of HfGaCu. The functional is r2SCAN.

Computed properties:
**Total magnetic moment**: 0.0 μB/f.u.
**V**: 95.4 Å³ per cell
**ΔH_f (0 K)**: -0.425 eV per atom

Lattice parameters (Å, degrees): 4.179 4.179 6.305 90.00 90.00 120.00
Fractional positions:
Hf 0.000 0.000 0.000
Hf 0.000 0.000 0.500
Ga 0.333 0.667 0.250
Ga 0.667 0.333 0.750
Cu 0.333 0.667 0.750
Cu 0.667 0.333 0.250

=====

2.
This record from the Materials Project database describes a relaxed structure of Sr3Al2Ge4. The functional is r2SCAN.

Computed properties:
**Total magnetic moment**: 0.0 μB/f.u.
**V**: 221.0 Å³ per cell
**ΔH_f (0 K)**: -0.580 eV per atom

Lattice parameters (Å, degrees): 6.695 6.695 8.872 109.37 109.37 36.37
Fractional positions:
Sr 0.000 0.000 0.000
Sr 0.395 0.395 0.314
Sr 0.605 0.605 0.686
Al 0.295 0.295 0.649
Al 0.705 0.705 0.351
Ge 0.108 0.108 0.392
Ge 0.288 0.288 0.944
Ge 0.712 0.712 0.056
Ge 0.892 0.892 0.608

=====

3.
This record from the Materials Project database describes a relaxed structure of HoGa6Fe6. The functional is r2SCAN.

Computed properties:
**Total magnetic moment**: 13.1 μB/f.u.
**V**: 183.6 Å³ per cell
**ΔH_f (0 K)**: -0.282 eV per atom

Lattice parameters (Å, degrees): 6.554 6.554 6.554 135.10 98.82 97.95
Fractional positions:
Ho 0.000 0.000 0.000
Ga 0.187 0.687 0.500
Ga 0.333 0.000 0.333
Ga 0.345 0.345 0.000
Ga 0.655 0.655 0.000
Ga 0.667 0.000 0.667
Ga 0.813 0.313 0.500
Fe 0.000 0.000 0.500
Fe 0.000 0.500 0.000
Fe 0.242 0.500 0.742
Fe 0.500 0.000 0.000
Fe 0.500 0.500 0.500
Fe 0.758 0.500 0.258

=====

4.
This record from the Materials Project database describes a relaxed structure of TiFeO3. The functional is r2SCAN.

Computed properties:
**Total magnetic moment**: 4.0 μB/f.u.
**V**: 102.7 Å³ per cell
**ΔH_f (0 K)**: -2.547 eV per atom

Lattice parameters (Å, degrees): 5.443 5.443 5.443 55.72 55.72 55.72
Fractional positions:
Ti 0.150 0.150 0.150
Ti 0.850 0.850 0.850
Fe 0.351 0.351 0.351
Fe 0.649 0.649 0.649
O 0.057 0.768 0.434
O 0.232 0.566 0.943
O 0.434 0.057 0.768
O 0.566 0.943 0.232
O 0.768 0.434 0.057
O 0.943 0.232 0.566

=====

5.
This record from the Materials Project database describes a relaxed structure of Ca3Sn13Ir4. The functional is r2SCAN.

Computed properties:
**Total magnetic moment**: 0.0 μB/f.u.
**V**: 933.4 Å³ per cell
**ΔH_f (0 K)**: -0.449 eV per atom

Lattice parameters (Å, degrees): 9.773 9.773 9.773 90.00 90.00 90.00
Fractional positions:
Ca 0.000 0.250 0.500
Ca 0.000 0.750 0.500
Ca 0.250 0.500 0.000
Ca 0.500 0.000 0.250
Ca 0.500 0.000 0.750
Ca 0.750 0.500 0.000
Sn 0.000 0.000 0.000
Sn 0.000 0.303 0.152
Sn 0.000 0.303 0.848
Sn 0.000 0.697 0.152
Sn 0.000 0.697 0.848
Sn 0.152 0.000 0.303
Sn 0.152 0.000 0.697
Sn 0.197 0.500 0.348
Sn 0.197 0.500 0.652
Sn 0.303 0.152 0.000
Sn 0.303 0.848 0.000
Sn 0.348 0.197 0.500
Sn 0.348 0.803 0.500
Sn 0.500 0.348 0.197
Sn 0.500 0.348 0.803
Sn 0.500 0.500 0.500
Sn 0.500 0.652 0.197
Sn 0.500 0.652 0.803
Sn 0.652 0.197 0.500
Sn 0.652 0.803 0.500
Sn 0.697 0.152 0.000
Sn 0.697 0.848 0.000
Sn 0.803 0.500 0.348
Sn 0.803 0.500 0.652
Sn 0.848 0.000 0.303
Sn 0.848 0.000 0.697
Ir 0.250 0.250 0.250
Ir 0.250 0.250 0.750
Ir 0.250 0.750 0.250
Ir 0.250 0.750 0.750
Ir 0.750 0.250 0.250
Ir 0.750 0.250 0.750
Ir 0.750 0.750 0.250
Ir 0.750 0.750 0.750

=====

6.
This record from the Materials Project database describes a relaxed structure of ErTaO4. The functional is r2SCAN.

Computed properties:
**Total magnetic moment**: 0.0 μB/f.u.
**V**: 143.7 Å³ per cell
**ΔH_f (0 K)**: -3.589 eV per atom

Lattice parameters (Å, degrees): 6.447 6.447 5.040 110.66 110.66 114.81
Fractional positions:
Er 0.131 0.869 0.750
Er 0.869 0.131 0.250
Ta 0.397 0.603 0.250
Ta 0.603 0.397 0.750
O 0.128 0.551 0.339
O 0.223 0.286 0.784
O 0.286 0.223 0.284
O 0.449 0.872 0.161
O 0.551 0.128 0.839
O 0.714 0.777 0.716
O 0.777 0.714 0.216
O 0.872 0.449 0.661

=====

7.
This record from the Materials Project database describes a relaxed structure of NaBi5O8. The functional is r2SCAN.

Computed properties:
**Total magnetic moment**: 0.0 μB/f.u.
**V**: 494.4 Å³ per cell
**ΔH_f (0 K)**: -1.347 eV per atom

Lattice parameters (Å, degrees): 7.262 7.356 10.296 70.81 72.81 80.05
Fractional positions:
Na 0.240 0.402 0.458
Na 0.760 0.598 0.542
Bi 0.035 0.380 0.181
Bi 0.036 0.819 0.227
Bi 0.255 0.904 0.465
Bi 0.386 0.259 0.843
Bi 0.440 0.724 0.860
Bi 0.560 0.276 0.140
Bi 0.614 0.741 0.157
Bi 0.745 0.096 0.535
Bi 0.964 0.181 0.773
Bi 0.965 0.620 0.819
O 0.003 0.529 0.338
O 0.015 0.100 0.580
O 0.054 0.336 0.940
O 0.287 0.150 0.712
O 0.313 0.176 0.315
O 0.325 0.471 0.073
O 0.330 0.741 0.309
O 0.368 0.566 0.746
O 0.632 0.434 0.254
O 0.670 0.259 0.691
O 0.675 0.529 0.927
O 0.687 0.824 0.685
O 0.713 0.850 0.288
O 0.946 0.664 0.060
O 0.985 0.900 0.420
O 0.997 0.471 0.662

=====

8.
This record from the Materials Project database describes a relaxed structure of SrYb3. The functional is r2SCAN.

Computed properties:
**Total magnetic moment**: 2.7 μB/f.u.
**V**: 275.5 Å³ per cell
**ΔH_f (0 K)**: 0.205 eV per atom

Lattice parameters (Å, degrees): 7.353 7.353 5.884 90.00 90.00 120.00
Fractional positions:
Sr 0.333 0.667 0.250
Sr 0.667 0.333 0.750
Yb 0.159 0.318 0.750
Yb 0.159 0.841 0.750
Yb 0.318 0.159 0.250
Yb 0.682 0.841 0.750
Yb 0.841 0.159 0.250
Yb 0.841 0.682 0.250

=====

9.
This record from the Materials Project database describes a relaxed structure of NbS. The functional is r2SCAN.

Computed properties:
**Total magnetic moment**: 0.0 μB/f.u.
**V**: 63.2 Å³ per cell
**ΔH_f (0 K)**: -1.002 eV per atom

Lattice parameters (Å, degrees): 3.307 3.307 6.678 90.00 90.00 120.00
Fractional positions:
Nb 0.000 0.000 0.000
Nb 0.000 0.000 0.500
S 0.333 0.667 0.250
S 0.667 0.333 0.750

=====

10.
This record from the Materials Project database describes a relaxed structure of Co2As2O7. The functional is r2SCAN.

Computed properties:
**Total magnetic moment**: 6.0 μB/f.u.
**V**: 258.1 Å³ per cell
**ΔH_f (0 K)**: -1.288 eV per atom

Lattice parameters (Å, degrees): 4.812 6.394 8.569 90.45 90.13 101.80
Fractional positions:
Co 0.000 0.000 0.000
Co 0.000 0.496 0.496
Co 0.003 0.990 0.382
Co 0.004 0.491 0.880
As 0.393 0.751 0.185
As 0.395 0.253 0.684
As 0.592 0.276 0.187
As 0.592 0.777 0.687
O 0.211 0.238 0.855
O 0.211 0.739 0.356
O 0.211 0.744 0.013
O 0.212 0.244 0.513
O 0.296 0.073 0.187
O 0.298 0.573 0.687
O 0.411 0.478 0.176
O 0.413 0.979 0.674
O 0.742 0.874 0.189
O 0.746 0.374 0.689
O 0.781 0.274 0.352
O 0.782 0.776 0.852
O 0.788 0.767 0.525
O 0.790 0.268 0.026

=====

11.
This record from the Materials Project database describes a relaxed structure of LuAgTe2. The functional is r2SCAN.

Computed properties:
**Total magnetic moment**: 0.0 μB/f.u.
**V**: 123.3 Å³ per cell
**ΔH_f (0 K)**: -1.008 eV per atom

Lattice parameters (Å, degrees): 4.387 4.387 7.398 90.00 90.00 120.00
Fractional positions:
Lu 0.000 0.000 0.000
Ag 0.333 0.667 0.416
Te 0.333 0.667 0.785
Te 0.667 0.333 0.239

=====

12.
This record from the Materials Project database describes a relaxed structure of CsPrS2. The functional is r2SCAN.

Computed properties:
**Total magnetic moment**: 0.0 μB/f.u.
**V**: 255.4 Å³ per cell
**ΔH_f (0 K)**: -2.078 eV per atom

Lattice parameters (Å, degrees): 4.264 4.264 16.224 90.00 90.00 120.00
Fractional positions:
Cs 0.333 0.667 0.250
Cs 0.667 0.333 0.750
Pr 0.000 0.000 0.000
Pr 0.000 0.000 0.500
S 0.333 0.667 0.594
S 0.333 0.667 0.906
S 0.667 0.333 0.094
S 0.667 0.333 0.406

=====

13.
This record from the Materials Project database describes a relaxed structure of SrEu3. The functional is r2SCAN.

Computed properties:
**Total magnetic moment**: 23.5 μB/f.u.
**V**: 384.8 Å³ per cell
**ΔH_f (0 K)**: 0.048 eV per atom

Lattice parameters (Å, degrees): 8.275 8.275 6.477 90.00 90.00 119.80
Fractional positions:
Sr 0.165 0.835 0.750
Sr 0.835 0.165 0.250
Eu 0.184 0.343 0.750
Eu 0.340 0.660 0.250
Eu 0.343 0.184 0.250
Eu 0.657 0.816 0.750
Eu 0.660 0.340 0.750
Eu 0.816 0.657 0.250

=====

14.
This record from the Materials Project database describes a relaxed structure of HoNi12B6. The functional is r2SCAN.

Computed properties:
**Total magnetic moment**: 0.0 μB/f.u.
**V**: 375.6 Å³ per cell
**ΔH_f (0 K)**: -0.395 eV per atom

Lattice parameters (Å, degrees): 5.975 5.975 10.882 90.00 90.00 75.25
Fractional positions:
Ho 0.167 0.833 0.500
Ho 0.833 0.167 0.000
Ni 0.003 0.631 0.943
Ni 0.119 0.146 0.761
Ni 0.146 0.119 0.261
Ni 0.195 0.544 0.739
Ni 0.212 0.527 0.282
Ni 0.217 0.783 0.104
Ni 0.269 0.342 0.074
Ni 0.342 0.269 0.574
Ni 0.369 0.997 0.943
Ni 0.434 0.566 0.925
Ni 0.456 0.805 0.739
Ni 0.473 0.788 0.282
Ni 0.527 0.212 0.782
Ni 0.544 0.195 0.239
Ni 0.566 0.434 0.425
Ni 0.631 0.003 0.443
Ni 0.658 0.731 0.074
Ni 0.731 0.658 0.574
Ni 0.783 0.217 0.604
Ni 0.788 0.473 0.782
Ni 0.805 0.456 0.239
Ni 0.854 0.881 0.761
Ni 0.881 0.854 0.261
Ni 0.997 0.369 0.443
B 0.013 0.401 0.628
B 0.163 0.837 0.844
B 0.242 0.327 0.891
B 0.327 0.242 0.391
B 0.401 0.013 0.128
B 0.488 0.512 0.160
B 0.512 0.488 0.660
B 0.599 0.987 0.628
B 0.673 0.758 0.891
B 0.758 0.673 0.391
B 0.837 0.163 0.344
B 0.987 0.599 0.128

=====

15.
This record from the Materials Project database describes a relaxed structure of TaSiIr. The functional is r2SCAN.

Computed properties:
**Total magnetic moment**: 0.0 μB/f.u.
**V**: 176.6 Å³ per cell
**ΔH_f (0 K)**: -0.879 eV per atom

Lattice parameters (Å, degrees): 6.409 3.785 7.282 90.00 90.00 90.00
Fractional positions:
Ta 0.024 0.250 0.172
Ta 0.476 0.750 0.672
Ta 0.524 0.250 0.328
Ta 0.976 0.750 0.828
Si 0.232 0.750 0.376
Si 0.268 0.250 0.876
Si 0.732 0.750 0.124
Si 0.768 0.250 0.624
Ir 0.145 0.250 0.566
Ir 0.355 0.750 0.066
Ir 0.645 0.250 0.934
Ir 0.855 0.750 0.434

=====

16.
This record from the Materials Project database describes a relaxed structure of K3NbSe4. The functional is r2SCAN.

Computed properties:
**Total magnetic moment**: 0.0 μB/f.u.
**V**: 1060.8 Å³ per cell
**ΔH_f (0 K)**: -1.325 eV per atom

Lattice parameters (Å, degrees): 9.695 11.169 9.796 90.00 90.00 90.00
Fractional positions:
K 0.059 0.047 0.208
K 0.059 0.453 0.208
K 0.129 0.750 0.415
K 0.371 0.250 0.915
K 0.441 0.547 0.708
K 0.441 0.953 0.708
K 0.559 0.047 0.292
K 0.559 0.453 0.292
K 0.629 0.750 0.085
K 0.871 0.250 0.585
K 0.941 0.547 0.792
K 0.941 0.953 0.792
Nb 0.213 0.750 0.986
Nb 0.287 0.250 0.486
Nb 0.713 0.750 0.514
Nb 0.787 0.250 0.014
Se 0.015 0.250 0.913
Se 0.164 0.072 0.553
Se 0.164 0.428 0.553
Se 0.189 0.750 0.741
Se 0.311 0.250 0.241
Se 0.336 0.572 0.053
Se 0.336 0.928 0.053
Se 0.485 0.750 0.413
Se 0.515 0.250 0.587
Se 0.664 0.072 0.947
Se 0.664 0.428 0.947
Se 0.689 0.750 0.759
Se 0.811 0.250 0.259
Se 0.836 0.572 0.447
Se 0.836 0.928 0.447
Se 0.985 0.750 0.087

=====

17.
This record from the Materials Project database describes a relaxed structure of Pb. The functional is r2SCAN.

Computed properties:
**Total magnetic moment**: 0.0 μB/f.u.
**V**: 31.1 Å³ per cell
**ΔH_f (0 K)**: 0.000 eV per atom

Lattice parameters (Å, degrees): 3.528 3.528 3.528 60.00 60.00 60.00
Fractional positions:
Pb 0.000 0.000 0.000

=====

18.
This record from the Materials Project database describes a relaxed structure of SmGe2Pd2. The functional is r2SCAN.

Computed properties:
**Total magnetic moment**: 0.0 μB/f.u.
**V**: 93.0 Å³ per cell
**ΔH_f (0 K)**: -0.868 eV per atom

Lattice parameters (Å, degrees): 5.889 5.889 5.889 137.23 137.23 62.08
Fractional positions:
Sm 0.000 0.000 0.000
Ge 0.379 0.379 0.000
Ge 0.621 0.621 0.000
Pd 0.250 0.750 0.500
Pd 0.750 0.250 0.500